No. 1
This record from the Materials Project describes an optimized crystal structure of TeMoWSe3. The functional is PBE-GGA.

Final energy   -6.713 eV per atom
Calculated volume   381.63 Å³ per cell
Energy above the most stable polymorph in this dataset   20.5 meV/atom
Formation energy   -0.709 eV per atom
Symmetry   P3m1

Cell lengths 3.383, 3.383, 38.499 Å; angles 90.00, 90.00, 120.00 degrees
Atoms (fractional coordinates):
Te1 0.000 0.000 0.000
Te2 0.000 0.000 0.098
Mo1 0.000 0.000 0.861
Mo2 0.667 0.333 0.673
W1 0.000 0.000 0.237
W2 0.667 0.333 0.049
Se1 0.000 0.000 0.630
Se2 0.000 0.000 0.716
Se3 0.667 0.333 0.194
Se4 0.667 0.333 0.280
Se5 0.667 0.333 0.818
Se6 0.667 0.333 0.904



No. 2
This record from the Materials Project describes an optimized crystal structure of Te2MoWSe2. The functional is PBE-GGA.

Final energy   -6.548 eV per atom
Calculated volume   400.20 Å³ per cell
Energy above the most stable polymorph in this dataset   19.6 meV/atom
Formation energy   -0.525 eV per atom
Symmetry   P3m1

Cell lengths 3.438, 3.438, 39.099 Å; angles 90.00, 90.00, 120.00 degrees
Atoms (fractional coordinates):
Te1 0.000 0.000 0.000
Te2 0.000 0.000 0.095
Te3 0.000 0.000 0.375
Te4 0.000 0.000 0.471
Mo1 0.000 0.000 0.860
Mo2 0.333 0.667 0.047
W1 0.000 0.000 0.235
W2 0.333 0.667 0.423
Se1 0.333 0.667 0.193
Se2 0.333 0.667 0.277
Se3 0.333 0.667 0.818
Se4 0.333 0.667 0.901



No. 3
This record from the Materials Project describes an optimized crystal structure of TeMoWSe3. The functional is PBE-GGA.

Final energy   -6.733 eV per atom
Calculated volume   380.50 Å³ per cell
Energy above the most stable polymorph in this dataset   0.2 meV/atom
Formation energy   -0.730 eV per atom
Symmetry   P3m1

Cell lengths 3.379, 3.379, 38.474 Å; angles 90.00, 90.00, 120.00 degrees
Atoms (fractional coordinates):
Te1 0.000 0.000 0.000
Te2 0.000 0.000 0.098
Mo1 0.000 0.000 0.485
Mo2 0.333 0.667 0.049
W1 0.000 0.000 0.861
W2 0.333 0.667 0.673
Se1 0.000 0.000 0.630
Se2 0.000 0.000 0.716
Se3 0.333 0.667 0.442
Se4 0.333 0.667 0.528
Se5 0.333 0.667 0.818
Se6 0.333 0.667 0.904



No. 4
This record from the Materials Project describes an optimized crystal structure of Te3MoWSe. The functional is PBE-GGA.

Final energy   -6.377 eV per atom
Calculated volume   420.28 Å³ per cell
Energy above the most stable polymorph in this dataset   20.1 meV/atom
Formation energy   -0.334 eV per atom
Symmetry   P3m1

Cell lengths 3.500, 3.500, 39.608 Å; angles 90.00, 90.00, 120.00 degrees
Atoms (fractional coordinates):
Te1 0.000 0.000 0.000
Te2 0.000 0.000 0.092
Te3 0.000 0.000 0.375
Te4 0.000 0.000 0.468
Te5 0.333 0.667 0.188
Te6 0.333 0.667 0.281
Mo1 0.000 0.000 0.858
Mo2 0.333 0.667 0.046
W1 0.000 0.000 0.234
W2 0.333 0.667 0.422
Se1 0.333 0.667 0.818
Se2 0.333 0.667 0.899



No. 5
This record from the Materials Project describes an optimized crystal structure of Te4MoW3Se4. The functional is PBE-GGA.

Final energy   -6.674 eV per atom
Calculated volume   401.25 Å³ per cell
Energy above the most stable polymorph in this dataset   20.3 meV/atom
Formation energy   -0.475 eV per atom
Symmetry   P3m1

Cell lengths 3.438, 3.438, 39.190 Å; angles 90.00, 90.00, 120.00 degrees
Atoms (fractional coordinates):
Te1 0.000 0.000 0.000
Te2 0.000 0.000 0.095
Te3 0.333 0.667 0.812
Te4 0.333 0.667 0.907
Mo1 0.000 0.000 0.484
W1 0.000 0.000 0.860
W2 0.333 0.667 0.048
W3 0.333 0.667 0.672
Se1 0.000 0.000 0.630
Se2 0.000 0.000 0.714
Se3 0.333 0.667 0.442
Se4 0.333 0.667 0.526



No. 6
This record from the Materials Project describes an optimized crystal structure of Te2MoWSe2. The functional is PBE-GGA.

Final energy   -6.528 eV per atom
Calculated volume   401.95 Å³ per cell
Energy above the most stable polymorph in this dataset   39.6 meV/atom
Formation energy   -0.505 eV per atom
Symmetry   P-3m1

Cell lengths 3.444, 3.444, 39.142 Å; angles 90.00, 90.00, 120.00 degrees
Atoms (fractional coordinates):
Te1 0.333 0.667 0.358
Te2 0.333 0.667 0.454
Te3 0.667 0.333 0.546
Te4 0.667 0.333 0.642
Mo1 0.333 0.667 0.218
Mo2 0.667 0.333 0.782
W1 0.333 0.667 0.594
W2 0.667 0.333 0.406
Se1 0.333 0.667 0.740
Se2 0.333 0.667 0.824
Se3 0.667 0.333 0.176
Se4 0.667 0.333 0.260



No. 7
This record from the Materials Project describes an optimized crystal structure of Te2MoWSe2. The functional is PBE-GGA.

Final energy   -6.548 eV per atom
Calculated volume   400.46 Å³ per cell
Energy above the most stable polymorph in this dataset   19.3 meV/atom
Formation energy   -0.525 eV per atom
Symmetry   P3m1

Cell lengths 3.439, 3.439, 39.106 Å; angles 90.00, 90.00, 120.00 degrees
Atoms (fractional coordinates):
Te1 0.000 0.000 0.000
Te2 0.000 0.000 0.095
Te3 0.000 0.000 0.375
Te4 0.000 0.000 0.471
Mo1 0.000 0.000 0.235
Mo2 0.333 0.667 0.047
W1 0.000 0.000 0.860
W2 0.333 0.667 0.423
Se1 0.333 0.667 0.193
Se2 0.333 0.667 0.277
Se3 0.333 0.667 0.818
Se4 0.333 0.667 0.901



No. 8
This record from the Materials Project describes an optimized crystal structure of Te2MoWSe2. The functional is PBE-GGA.

Final energy   -6.547 eV per atom
Calculated volume   400.94 Å³ per cell
Energy above the most stable polymorph in this dataset   20.0 meV/atom
Formation energy   -0.524 eV per atom
Symmetry   P3m1

Cell lengths 3.438, 3.438, 39.161 Å; angles 90.00, 90.00, 120.00 degrees
Atoms (fractional coordinates):
Te1 0.000 0.000 0.000
Te2 0.000 0.000 0.095
Te3 0.333 0.667 0.188
Te4 0.333 0.667 0.283
Mo1 0.000 0.000 0.860
Mo2 0.333 0.667 0.047
W1 0.000 0.000 0.235
W2 0.333 0.667 0.423
Se1 0.000 0.000 0.381
Se2 0.000 0.000 0.465
Se3 0.333 0.667 0.818
Se4 0.333 0.667 0.901



No. 9
This record from the Materials Project describes an optimized crystal structure of Te4MoW3Se4. The functional is PBE-GGA.

Final energy   -6.674 eV per atom
Calculated volume   401.70 Å³ per cell
Energy above the most stable polymorph in this dataset   20.2 meV/atom
Formation energy   -0.475 eV per atom
Symmetry   P3m1

Cell lengths 3.440, 3.440, 39.204 Å; angles 90.00, 90.00, 120.00 degrees
Atoms (fractional coordinates):
Te1 0.000 0.000 0.000
Te2 0.000 0.000 0.095
Te3 0.333 0.667 0.812
Te4 0.333 0.667 0.907
Mo1 0.333 0.667 0.672
W1 0.000 0.000 0.484
W2 0.000 0.000 0.860
W3 0.333 0.667 0.048
Se1 0.000 0.000 0.630
Se2 0.000 0.000 0.714
Se3 0.333 0.667 0.442
Se4 0.333 0.667 0.526



No. 10
This record from the Materials Project describes an optimized crystal structure of Te2MoWSe2. The functional is PBE-GGA.

Final energy   -6.528 eV per atom
Calculated volume   401.60 Å³ per cell
Energy above the most stable polymorph in this dataset   39.0 meV/atom
Formation energy   -0.505 eV per atom
Symmetry   P-3m1

Cell lengths 3.443, 3.443, 39.123 Å; angles 90.00, 90.00, 120.00 degrees
Atoms (fractional coordinates):
Te1 0.333 0.667 0.234
Te2 0.333 0.667 0.329
Te3 0.667 0.333 0.671
Te4 0.667 0.333 0.766
Mo1 0.333 0.667 0.094
Mo2 0.667 0.333 0.906
W1 0.333 0.667 0.718
W2 0.667 0.333 0.282
Se1 0.333 0.667 0.864
Se2 0.333 0.667 0.948
Se3 0.667 0.333 0.052
Se4 0.667 0.333 0.136



No. 11
This record from the Materials Project describes an optimized crystal structure of TeMoWSe3. The functional is PBE-GGA.

Final energy   -6.733 eV per atom
Calculated volume   380.37 Å³ per cell
Energy above the most stable polymorph in this dataset   0.0 meV/atom
Formation energy   -0.730 eV per atom
Symmetry   P3m1

Cell lengths 3.379, 3.379, 38.462 Å; angles 90.00, 90.00, 120.00 degrees
Atoms (fractional coordinates):
Te1 0.000 0.000 0.000
Te2 0.000 0.000 0.098
Mo1 0.000 0.000 0.237
Mo2 0.667 0.333 0.049
W1 0.000 0.000 0.613
W2 0.667 0.333 0.425
Se1 0.000 0.000 0.381
Se2 0.000 0.000 0.468
Se3 0.667 0.333 0.194
Se4 0.667 0.333 0.280
Se5 0.667 0.333 0.569
Se6 0.667 0.333 0.656